The following is a PBE+U calculation of crystalline Fe23O25 at its relaxed geometry, from the Materials Project.

The structure in CIF format:
```
data_Fe23O25
_chemical_formula_sum 'Fe23 O25'
_cell_length_a 6.8175
_cell_length_b 6.8520
_cell_length_c 12.0689
_cell_angle_alpha 87.12
_cell_angle_beta 73.68
_cell_angle_gamma 72.78
_space_group_name_H-M_alt 'P 1'
_space_group_IT_number 1
_space_group_name_Hall 'P 1'
loop_
_atom_site_label
_atom_site_type_symbol
_atom_site_fract_x
_atom_site_fract_y
_atom_site_fract_z
_atom_site_occupancy
Fe1 Fe 0.0000 0.0000 0.0000 1
Fe2 Fe 0.0385 0.4141 0.8742 1
Fe3 Fe 0.1190 0.1835 0.6401 1
Fe4 Fe 0.1548 0.6056 0.5251 1
Fe5 Fe 0.1965 0.0042 0.3918 1
Fe6 Fe 0.2296 0.3974 0.2772 1
Fe7 Fe 0.2646 0.8127 0.1614 1
Fe8 Fe 0.3088 0.2042 0.0453 1
Fe9 Fe 0.3533 0.5996 0.9171 1
Fe10 Fe 0.3811 0.9935 0.7986 1
Fe11 Fe 0.4367 0.4123 0.6813 1
Fe12 Fe 0.4799 0.8010 0.5617 1
Fe13 Fe 0.5201 0.1990 0.4383 1
Fe14 Fe 0.5633 0.5877 0.3187 1
Fe15 Fe 0.6189 0.0065 0.2014 1
Fe16 Fe 0.6467 0.4004 0.0829 1
Fe17 Fe 0.6912 0.7958 0.9547 1
Fe18 Fe 0.7354 0.1873 0.8386 1
Fe19 Fe 0.7704 0.6026 0.7228 1
Fe20 Fe 0.8035 0.9958 0.6082 1
Fe21 Fe 0.8452 0.3944 0.4749 1
Fe22 Fe 0.8810 0.8165 0.3599 1
Fe23 Fe 0.9615 0.5859 0.1258 1
O1 O 0.0121 0.7006 0.9572 1
O2 O 0.0648 0.1054 0.8214 1
O3 O 0.1194 0.4722 0.6962 1
O4 O 0.1567 0.9034 0.5626 1
O5 O 0.1875 0.3040 0.4606 1
O6 O 0.2367 0.6864 0.3379 1
O7 O 0.2947 0.0944 0.2215 1
O8 O 0.3106 0.5009 0.0989 1
O9 O 0.3499 0.9046 0.9694 1
O10 O 0.3922 0.2911 0.8464 1
O11 O 0.4274 0.6951 0.7378 1
O12 O 0.4566 0.1075 0.6307 1
O13 O 0.5000 0.5000 0.5000 1
O14 O 0.5434 0.8925 0.3693 1
O15 O 0.5726 0.3049 0.2622 1
O16 O 0.6078 0.7089 0.1536 1
O17 O 0.6501 0.0954 0.0306 1
O18 O 0.6894 0.4991 0.9011 1
O19 O 0.7053 0.9056 0.7785 1
O20 O 0.7633 0.3136 0.6621 1
O21 O 0.8125 0.6960 0.5394 1
O22 O 0.8433 0.0966 0.4374 1
O23 O 0.8806 0.5278 0.3038 1
O24 O 0.9352 0.8946 0.1786 1
O25 O 0.9879 0.2994 0.0428 1
```

Summary:
As for the MP2020-corrected energy: -0.2982 Ha/atom. Its formation energy is -1.479 eV per atom. As for the energy: -320.438 eV per cell.

The following is a PBE+U calculation of crystalline Fe3O4 at its relaxed geometry, from the Materials Project.

The structure in CIF format:
```
data_Fe3O4
_chemical_formula_sum 'Fe24 O32'
_cell_length_a 6.1060
_cell_length_b 6.1062
_cell_length_c 17.0605
_cell_angle_alpha 90.00
_cell_angle_beta 90.11
_cell_angle_gamma 90.02
_space_group_name_H-M_alt 'P 1'
_space_group_IT_number 1
_space_group_name_Hall 'P 1'
loop_
_atom_site_label
_atom_site_type_symbol
_atom_site_fract_x
_atom_site_fract_y
_atom_site_fract_z
_atom_site_occupancy
Fe1 Fe 0.0000 0.0000 0.0000 1
Fe2 Fe 0.9998 0.0022 0.5001 1
Fe3 Fe 0.9996 0.5060 0.5007 1
Fe4 Fe 0.0003 0.7564 0.1874 1
Fe5 Fe 0.0008 0.2609 0.8137 1
Fe6 Fe 0.0006 0.5086 0.0018 1
Fe7 Fe 0.0006 0.7516 0.6882 1
Fe8 Fe 0.0046 0.2575 0.3143 1
Fe9 Fe 0.2504 0.7575 0.8765 1
Fe10 Fe 0.2516 0.2557 0.6275 1
Fe11 Fe 0.2548 0.2548 0.1286 1
Fe12 Fe 0.2550 0.7523 0.3740 1
Fe13 Fe 0.4964 0.2511 0.4408 1
Fe14 Fe 0.4998 0.7585 0.5641 1
Fe15 Fe 0.5010 0.0062 0.7540 1
Fe16 Fe 0.5011 0.2532 0.9421 1
Fe17 Fe 0.5011 0.5113 0.7557 1
Fe18 Fe 0.5015 0.7543 0.0650 1
Fe19 Fe 0.5029 0.0061 0.2531 1
Fe20 Fe 0.5034 0.5087 0.2534 1
Fe21 Fe 0.7451 0.2550 0.1300 1
Fe22 Fe 0.7497 0.2557 0.6269 1
Fe23 Fe 0.7510 0.7568 0.8761 1
Fe24 Fe 0.7523 0.7542 0.3762 1
O1 O 0.0001 0.0081 0.8792 1
O2 O 0.0012 0.0254 0.6244 1
O3 O 0.0009 0.0255 0.1228 1
O4 O 0.0009 0.4827 0.6257 1
O5 O 0.0012 0.4854 0.1232 1
O6 O 0.0014 0.5129 0.8806 1
O7 O 0.0086 0.5203 0.3785 1
O8 O 0.0115 0.9972 0.3825 1
O9 O 0.2192 0.7549 0.0015 1
O10 O 0.2315 0.2556 0.0059 1
O11 O 0.2381 0.7651 0.5003 1
O12 O 0.2385 0.2446 0.5083 1
O13 O 0.2501 0.7577 0.2561 1
O14 O 0.2570 0.2570 0.2483 1
O15 O 0.2620 0.2661 0.7465 1
O16 O 0.2639 0.7458 0.7490 1
O17 O 0.4891 0.5158 0.3800 1
O18 O 0.4932 0.9887 0.3788 1
O19 O 0.4999 0.0357 0.1281 1
O20 O 0.5002 0.4739 0.1282 1
O21 O 0.5006 0.0265 0.6274 1
O22 O 0.5009 0.4857 0.6287 1
O23 O 0.5012 0.5029 0.8732 1
O24 O 0.5007 0.9977 0.8777 1
O25 O 0.7389 0.7455 0.7493 1
O26 O 0.7395 0.2659 0.7461 1
O27 O 0.7449 0.7560 0.2503 1
O28 O 0.7505 0.2555 0.2495 1
O29 O 0.7610 0.2444 0.5065 1
O30 O 0.7645 0.7657 0.5053 1
O31 O 0.7699 0.2553 0.0064 1
O32 O 0.7815 0.7541 0.0010 1
```

Summary:
As for the MP2020-corrected energy: -0.2956 Ha/atom. Its formation energy is -1.586 eV per atom. As for the energy: -374.325 eV per cell.